Density functional theory data (PBE with a Hubbard U) for a relaxed NaCoP3H8O10 crystal.

## Properties
ρ, Mg/m³: 2.23
ΔH_f (0 K), eV per atom: -1.699

The structure in POSCAR format:
```
NaCoP3H8O10
1.0
9.1749 0.0000 0.0000
0.0000 14.9197 0.0000
0.0000 0.0000 14.9561
O P H Na Co
80 24 64 8 8
Direct
0.7903 0.7613 0.8810 O
0.0990 0.7617 0.4370 O
0.2775 0.5688 0.0302 O
0.9820 0.3966 0.6745 O
0.5097 0.4322 0.2021 O
0.9090 0.4149 0.4649 O
0.9811 0.0368 0.3330 O
0.3659 0.9250 0.0561 O
0.5990 0.7383 0.5630 O
0.2225 0.0688 0.0302 O
0.5097 0.0678 0.7021 O
0.0910 0.5851 0.5351 O
0.5910 0.5851 0.9649 O
0.5910 0.9149 0.4649 O
0.4091 0.0851 0.5351 O
0.7225 0.0688 0.4698 O
0.8659 0.5750 0.9439 O
0.5189 0.9632 0.8330 O
0.9903 0.5678 0.7021 O
0.9010 0.2617 0.0630 O
0.2903 0.7613 0.6190 O
0.9010 0.2383 0.5630 O
0.2637 0.2089 0.2993 O
0.4091 0.4149 0.0351 O
0.7637 0.2911 0.7007 O
0.5990 0.7617 0.0630 O
0.7363 0.7089 0.2007 O
0.1188 0.2704 0.4299 O
0.2363 0.7089 0.2993 O
0.2775 0.9312 0.5302 O
0.7097 0.2613 0.8810 O
0.8659 0.9250 0.4439 O
0.2097 0.2613 0.6190 O
0.3812 0.7704 0.4299 O
0.8812 0.7296 0.5701 O
0.7903 0.7387 0.3810 O
0.4820 0.3966 0.8255 O
0.0097 0.4322 0.2979 O
0.5189 0.5368 0.3330 O
0.2637 0.2911 0.7993 O
0.0180 0.8966 0.8255 O
0.4811 0.0368 0.1670 O
0.6188 0.2704 0.0701 O
0.3659 0.5750 0.5561 O
0.1341 0.0750 0.5561 O
0.8812 0.7704 0.0701 O
0.7637 0.2089 0.2007 O
0.0990 0.7383 0.9370 O
0.4010 0.2617 0.4370 O
0.7363 0.7911 0.7007 O
0.5180 0.6034 0.1745 O
0.7775 0.5688 0.4698 O
0.4811 0.4632 0.6670 O
0.6188 0.2296 0.5701 O
0.4820 0.1034 0.3255 O
0.2225 0.4312 0.5302 O
0.7225 0.4312 0.9698 O
0.0189 0.5368 0.1670 O
0.9811 0.4632 0.8330 O
0.6341 0.0750 0.9439 O
0.2363 0.7911 0.7993 O
0.5180 0.8966 0.6745 O
0.2097 0.2387 0.1190 O
0.7775 0.9312 0.9698 O
0.2903 0.7387 0.1190 O
0.1188 0.2296 0.9299 O
0.6341 0.4250 0.4439 O
0.9090 0.0851 0.9649 O
0.0180 0.6034 0.3255 O
0.4903 0.9322 0.2979 O
0.7097 0.2387 0.3810 O
0.4010 0.2383 0.9370 O
0.4903 0.5678 0.7979 O
0.0910 0.9149 0.0351 O
0.0189 0.9632 0.6670 O
0.0097 0.0678 0.7979 O
0.9903 0.9322 0.2021 O
0.1341 0.4250 0.0561 O
0.3812 0.7296 0.9299 O
0.9820 0.1034 0.1745 O
0.9651 0.5289 0.2624 P
0.2262 0.9689 0.0093 P
0.5349 0.4711 0.7624 P
0.7641 0.2225 0.6181 P
0.9651 0.9711 0.7624 P
0.2641 0.2775 0.3819 P
0.7738 0.4689 0.4907 P
0.5349 0.0289 0.2624 P
0.7359 0.7225 0.6181 P
0.2359 0.7775 0.3819 P
0.2641 0.2225 0.8819 P
0.2359 0.7225 0.8819 P
0.4651 0.9711 0.7376 P
0.7262 0.9689 0.4907 P
0.4651 0.5289 0.2376 P
0.2262 0.5311 0.5093 P
0.7738 0.0311 0.9907 P
0.7641 0.2775 0.1181 P
0.2738 0.4689 0.0093 P
0.7359 0.7775 0.1181 P
0.0349 0.4711 0.7376 P
0.7262 0.5311 0.9907 P
0.2738 0.0311 0.5093 P
0.0349 0.0289 0.2376 P
0.6966 0.1981 0.8983 H
0.8034 0.8019 0.3983 H
0.9748 0.4201 0.3608 H
0.2731 0.3623 0.3411 H
0.3521 0.1664 0.3026 H
0.0847 0.0340 0.6031 H
0.7269 0.6377 0.6589 H
0.3034 0.8019 0.1017 H
0.4153 0.9660 0.1031 H
0.2977 0.7353 0.1847 H
0.6479 0.6664 0.1974 H
0.7527 0.5447 0.0822 H
0.3034 0.6981 0.6017 H
0.1479 0.6664 0.3026 H
0.1888 0.0298 0.2349 H
0.1888 0.4702 0.7349 H
0.6479 0.8336 0.6974 H
0.6966 0.3019 0.3983 H
0.7731 0.3623 0.1589 H
0.8521 0.1664 0.1974 H
0.7473 0.0447 0.0822 H
0.5847 0.4660 0.3969 H
0.7269 0.8623 0.1589 H
0.9153 0.5340 0.8969 H
0.2977 0.7647 0.6847 H
0.4153 0.5340 0.6031 H
0.7977 0.7647 0.8153 H
0.9748 0.0799 0.8608 H
0.1966 0.1981 0.6017 H
0.3112 0.9702 0.7349 H
0.8112 0.5298 0.2651 H
0.7527 0.9553 0.5822 H
0.3112 0.5298 0.2349 H
0.2527 0.9553 0.9178 H
0.2023 0.2353 0.1847 H
0.5252 0.9201 0.3608 H
0.2473 0.4553 0.9178 H
0.7731 0.1377 0.6589 H
0.6888 0.4702 0.7651 H
0.9153 0.9660 0.3969 H
0.0847 0.4660 0.1031 H
0.2473 0.0447 0.4178 H
0.7023 0.2353 0.3153 H
0.0252 0.9201 0.1392 H
0.5847 0.0340 0.8969 H
0.7023 0.2647 0.8153 H
0.2269 0.8623 0.3411 H
0.7977 0.7353 0.3153 H
0.2527 0.5447 0.4178 H
0.0252 0.5799 0.6392 H
0.8034 0.6981 0.8983 H
0.1479 0.8336 0.8026 H
0.2269 0.6377 0.8411 H
0.1966 0.3019 0.1017 H
0.6888 0.0298 0.2651 H
0.2023 0.2647 0.6847 H
0.5252 0.5799 0.8608 H
0.4748 0.0799 0.6392 H
0.4748 0.4201 0.1392 H
0.3521 0.3336 0.8026 H
0.8521 0.3336 0.6974 H
0.8112 0.9702 0.7651 H
0.7473 0.4553 0.5822 H
0.2731 0.1377 0.8411 H
0.9376 0.1580 0.4316 Na
0.5624 0.6580 0.4316 Na
0.5624 0.8420 0.9316 Na
0.4376 0.3420 0.5684 Na
0.0624 0.8420 0.5684 Na
0.9376 0.3420 0.9316 Na
0.0624 0.6580 0.0684 Na
0.4376 0.1580 0.0684 Na
0.4483 0.8408 0.5464 Co
0.9483 0.8408 0.9536 Co
0.9483 0.6592 0.4536 Co
0.4483 0.6592 0.0464 Co
0.0517 0.3408 0.5464 Co
0.5517 0.1592 0.4536 Co
0.0517 0.1592 0.0464 Co
0.5517 0.3408 0.9536 Co
```

Density functional theory data (PBE with a Hubbard U) for a relaxed Rb6Co2O7 crystal.

## Properties
Polymorph energy (0 for the lowest one), meV per atom: 0
ρ, Mg/m³: 3.86
ΔH_f (0 K), eV per atom: -1.495

The structure in POSCAR format:
```
Rb6Co2O7
1.0
9.5421 0.0000 0.0000
0.0000 6.9147 0.0000
0.0000 6.5980 9.6724
Co Rb O
4 12 14
Direct
0.8607 0.3208 0.6298 Co
0.6393 0.3208 0.1298 Co
0.1393 0.6792 0.3702 Co
0.3607 0.6792 0.8702 Co
0.7909 0.5905 0.2840 Rb
0.9705 0.2002 0.0519 Rb
0.8535 0.9526 0.4191 Rb
0.3535 0.0474 0.0809 Rb
0.0295 0.7998 0.9481 Rb
0.4705 0.7998 0.4481 Rb
0.5295 0.2002 0.5519 Rb
0.1465 0.0474 0.5809 Rb
0.7091 0.5905 0.7840 Rb
0.2091 0.4095 0.7160 Rb
0.2909 0.4095 0.2160 Rb
0.6465 0.9526 0.9191 Rb
0.3331 0.9436 0.8644 O
0.2938 0.4971 0.4292 O
0.5904 0.2520 0.2976 O
0.6669 0.0564 0.1356 O
0.5000 0.5000 0.0000 O
0.7938 0.5029 0.0708 O
0.0000 0.5000 0.5000 O
0.2062 0.4971 0.9292 O
0.0904 0.7480 0.2024 O
0.8331 0.0564 0.6356 O
0.1669 0.9436 0.3644 O
0.9096 0.2520 0.7976 O
0.4096 0.7480 0.7024 O
0.7062 0.5029 0.5708 O
```

Density functional theory data (PBE with a Hubbard U) for a relaxed LiVP3H14O16 crystal.

## Properties
ρ, Mg/m³: 2.08
ΔH_f (0 K), eV per atom: -1.802

The structure in POSCAR format:
```
LiVP3H14O16
1.0
-7.2403 1.9623 0.8522
-4.7829 -7.3685 2.2448
-0.7767 -0.3353 10.8900
H P O Li V
28 6 32 2 2
Direct
0.7148 0.7291 0.6096 H
0.7792 0.0493 0.5266 H
0.4921 0.9972 0.6784 H
0.1986 0.6732 0.0697 H
0.3746 0.6876 0.8583 H
0.2944 0.6553 0.3755 H
0.6217 0.3123 0.1391 H
0.5845 0.5984 0.8167 H
0.2600 0.9379 0.6126 H
0.2814 0.2749 0.3898 H
0.3004 0.0777 0.7493 H
0.9112 0.3357 0.7225 H
0.9547 0.1747 0.6828 H
0.7431 0.0674 0.3872 H
0.6997 0.9200 0.2518 H
0.2229 0.9495 0.4724 H
0.6604 0.2255 0.9416 H
0.3208 0.2331 0.5330 H
0.6754 0.7738 0.4639 H
0.4147 0.4011 0.1825 H
0.7012 0.3460 0.6228 H
0.8024 0.3257 0.9303 H
0.4861 0.6881 0.3135 H
0.0880 0.6633 0.2774 H
0.0444 0.8256 0.3155 H
0.5084 0.0020 0.3222 H
0.3403 0.7736 0.0580 H
0.5183 0.3100 0.7014 H
0.9593 0.4703 0.2121 P
0.7055 0.7696 0.0733 P
0.2938 0.2289 0.9288 P
0.8463 0.8645 0.8013 P
0.1516 0.1351 0.2004 P
0.0444 0.5329 0.7883 P
0.9267 0.9869 0.8200 O
0.5454 0.3644 0.2048 O
0.3076 0.1786 0.0819 O
0.4540 0.6340 0.7939 O
0.2464 0.0964 0.3210 O
0.0710 0.0142 0.1788 O
0.1598 0.5380 0.6602 O
0.2352 0.7709 0.0144 O
0.1875 0.1358 0.8914 O
0.6913 0.8209 0.9193 O
0.3575 0.0524 0.6667 O
0.1668 0.4150 0.9077 O
0.5619 0.3768 0.6182 O
0.0741 0.7072 0.3523 O
0.0160 0.6981 0.8254 O
0.5120 0.7784 0.1374 O
0.2936 0.3255 0.4542 O
0.8512 0.4712 0.3403 O
0.6859 0.6843 0.5466 O
0.9247 0.2932 0.6470 O
0.8333 0.5847 0.0925 O
0.2339 0.8752 0.5608 O
0.8120 0.8644 0.1086 O
0.9857 0.3027 0.1777 O
0.8617 0.4924 0.8035 O
0.4876 0.2200 0.8651 O
0.6412 0.9406 0.3357 O
0.7537 0.8973 0.6807 O
0.7672 0.2274 0.9837 O
0.4291 0.6282 0.3940 O
0.1440 0.5118 0.1885 O
0.7694 0.1272 0.4404 O
0.5932 0.3606 0.3900 Li
0.0088 0.4882 0.4928 Li
0.0005 0.9991 0.9998 V
0.4156 0.6286 0.5961 V
```

Density functional theory data (PBE with a Hubbard U) for a relaxed KNaMnO2 crystal.

## Properties
ρ, Mg/m³: 3.03
ΔH_f (0 K), eV per atom: -1.686

The structure in POSCAR format:
```
KNaMnO2
1.0
0.3305 -5.2079 -4.3788
6.8830 -0.7198 1.3755
-1.4733 -4.1381 5.2068
Mn O Na K
4 8 4 4
Direct
0.6246 0.5000 0.1607 Mn
0.3754 0.5000 0.8393 Mn
0.1607 0.0000 0.6246 Mn
0.8392 0.0000 0.3753 Mn
0.3030 0.2500 0.6971 O
0.1357 0.0000 0.3072 O
0.6971 0.7500 0.3029 O
0.3072 0.5000 0.1357 O
0.6927 0.5000 0.8644 O
0.6971 0.2500 0.3029 O
0.3030 0.7500 0.6971 O
0.8644 0.0000 0.6927 O
0.6497 0.2500 0.6497 Na
0.6497 0.7500 0.6497 Na
0.3504 0.2500 0.3504 Na
0.3504 0.7500 0.3504 Na
0.0000 0.2500 0.0000 K
0.0000 0.5000 0.5000 K
0.5000 0.0000 0.0000 K
0.0000 0.7500 0.0000 K
```

Density functional theory data (PBE with a Hubbard U) for a relaxed Cr5CuGe2O12 crystal.

## Properties
ρ, Mg/m³: 4.97
ΔH_f (0 K), eV per atom: -2.145

The structure in POSCAR format:
```
Cr5CuGe2O12
1.0
4.2291 -8.6314 0.0000
4.2291 8.6314 0.0000
0.0000 0.0000 6.0503
O Cr Ge Cu
24 10 4 2
Direct
0.5780 0.9047 0.9924 O
0.2318 0.2318 0.9687 O
0.9218 0.0857 0.2500 O
0.9143 0.0782 0.7500 O
0.7682 0.7682 0.4687 O
0.7672 0.2642 0.2500 O
0.0953 0.4220 0.0076 O
0.7358 0.2328 0.7500 O
0.5762 0.3833 0.7500 O
0.5780 0.9047 0.5076 O
0.2642 0.7672 0.2500 O
0.0953 0.4220 0.4924 O
0.4238 0.6167 0.2500 O
0.3833 0.5762 0.7500 O
0.0782 0.9143 0.7500 O
0.2328 0.7358 0.7500 O
0.6167 0.4238 0.2500 O
0.2318 0.2318 0.5313 O
0.4220 0.0953 0.0076 O
0.4220 0.0953 0.4924 O
0.9047 0.5780 0.5076 O
0.0857 0.9218 0.2500 O
0.7682 0.7682 0.0313 O
0.9047 0.5780 0.9924 O
0.6650 0.8386 0.2500 Cr
0.1614 0.3350 0.7500 Cr
0.0000 0.0000 0.0000 Cr
0.3278 0.6722 0.5000 Cr
0.3278 0.6722 0.0000 Cr
0.3350 0.1614 0.7500 Cr
0.8386 0.6650 0.2500 Cr
0.0000 0.0000 0.5000 Cr
0.6722 0.3278 0.5000 Cr
0.6722 0.3278 0.0000 Cr
0.0240 0.6893 0.7500 Ge
0.3107 0.9760 0.2500 Ge
0.9760 0.3107 0.2500 Ge
0.6893 0.0240 0.7500 Ge
0.6228 0.6228 0.7500 Cu
0.3772 0.3772 0.2500 Cu
```

Density functional theory data (PBE with a Hubbard U) for a relaxed Mn6O5F7 crystal.

## Properties
Polymorph energy (0 for the lowest one), meV per atom: 33
ρ, Mg/m³: 4.29
ΔH_f (0 K), eV per atom: -2.408

The structure in POSCAR format:
```
Mn6O5F7
1.0
-3.8361 0.1935 -2.7104
-3.2871 -0.8041 4.6045
-0.5573 15.4799 2.0789
O F Mn
10 14 12
Direct
0.7766 0.1067 0.4676 O
0.7078 0.4028 0.6445 O
0.7715 0.1042 0.8057 O
0.2996 0.6126 0.3670 O
0.2761 0.3946 0.1998 O
0.2840 0.6259 0.0244 O
0.7810 0.8786 0.9671 O
0.7974 0.8869 0.3016 O
0.7090 0.6011 0.8104 O
0.7635 0.8934 0.6418 O
0.7296 0.3812 0.9830 F
0.2242 0.8668 0.8503 F
0.2700 0.1136 0.3573 F
0.7502 0.5939 0.4775 F
0.7677 0.3826 0.3090 F
0.7656 0.1133 0.1304 F
0.2353 0.8992 0.1809 F
0.7315 0.6274 0.1500 F
0.2295 0.6219 0.6992 F
0.2691 0.3662 0.8617 F
0.2366 0.1292 0.6935 F
0.2253 0.1262 0.0156 F
0.2351 0.8800 0.5268 F
0.2618 0.3922 0.5337 F
0.9990 0.8299 0.0715 Mn
0.0125 0.1551 0.2464 Mn
0.4962 0.6586 0.2596 Mn
0.5068 0.6547 0.9177 Mn
0.9508 0.8425 0.7496 Mn
0.5195 0.3469 0.7511 Mn
0.9985 0.8450 0.4105 Mn
0.4680 0.3651 0.0891 Mn
0.9539 0.1604 0.5833 Mn
0.9725 0.1382 0.9118 Mn
0.5155 0.3420 0.4191 Mn
0.5090 0.6610 0.5913 Mn
```

Q: Among the records above, which one has the lowest ρ?
A: LiVP3H14O16